(1)
Computed, not measured: a relaxed structure of CaMg6TiO8 at the PBE level of DFT.

Values from the calculation:
**Space group**: No. 123
**ρ**: 3.60 g/cm3
**Offset from the most stable computed form**: 0.000 eV per atom
**Size of the total moment**: 1.78 μB per formula unit
**Formation energy from the elements**: -2.921 eV per atom

Lattice parameters (Å, degrees): 8.723 4.371 4.371 90.00 90.00 90.00
Positions (direct):
Mg: 0.742 0.500 0.000
Mg: 0.500 0.000 0.000
O: 0.265 0.000 0.000
O: 0.000 0.500 0.000
O: 0.000 0.000 0.500
O: 0.256 0.500 0.500
O: 0.744 0.500 0.500
O: 0.500 0.000 0.500
Mg: 0.742 0.000 0.500
Ca: 0.000 0.000 0.000
O: 0.500 0.500 0.000
Mg: 0.258 0.000 0.500
Mg: 0.258 0.500 0.000
Ti: 0.000 0.500 0.500
Mg: 0.500 0.500 0.500
O: 0.735 0.000 0.000


(2)
Computed, not measured: a relaxed structure of CaPmMg2 at the PBE level of DFT.

Values from the calculation:
**Space group**: No. 225
**ρ**: 3.24 g/cm3
**Formation energy from the elements**: -0.095 eV per atom

Lattice parameters (Å, degrees): 5.535 5.535 5.535 60.00 60.00 60.00
Positions (direct):
Ca: 0.500 0.500 0.500
Mg: 0.250 0.250 0.250
Mg: 0.750 0.750 0.750
Pm: 0.000 0.000 0.000


(3)
Computed, not measured: a relaxed structure of Ca2MgPt2 at the PBE level of DFT.

Values from the calculation:
**Space group**: No. 71
**ρ**: 7.34 g/cm3
**Formation energy from the elements**: -0.887 eV per atom

Lattice parameters (Å, degrees): 5.724 5.724 5.724 135.54 118.53 78.97
Positions (direct):
Pt: 0.733 0.500 0.233
Ca: 0.300 0.800 0.500
Pt: 0.267 0.500 0.767
Ca: 0.700 0.200 0.500
Mg: 0.000 0.000 0.000


(4)
Computed, not measured: a relaxed structure of RbCaMg6 at the PBE level of DFT.

Values from the calculation:
**ρ**: 1.90 g/cm3
**Offset from the most stable computed form**: 0.000 eV per atom
**Size of the total moment**: 0.00 μB per formula unit
**Formation energy from the elements**: 0.211 eV per atom

Lattice parameters (Å, degrees): 5.550 6.987 12.200 90.00 90.00 90.00
Positions (direct):
Mg: 0.500 0.748 0.917
Mg: 0.000 0.000 0.334
Mg: 0.000 0.266 0.581
Mg: 0.500 0.248 0.417
Mg: 0.000 0.766 0.081
Mg: 0.000 0.734 0.581
Mg: 0.500 0.500 0.666
Mg: 0.000 0.500 0.834
Mg: 0.000 0.234 0.081
Rb: 0.500 0.500 0.161
Mg: 0.500 0.752 0.417
Mg: 0.500 0.000 0.166
Mg: 0.500 0.252 0.917
Ca: 0.000 0.000 0.843
Ca: 0.000 0.500 0.343
Rb: 0.500 0.000 0.661


(5)
Computed, not measured: a relaxed structure of RbCaMg14 at the PBE level of DFT.

Values from the calculation:
**Space group**: No. 187
**ρ**: 1.84 g/cm3
**Offset from the most stable computed form**: 0.000 eV per atom
**Size of the total moment**: 0.00 μB per formula unit
**Formation energy from the elements**: 0.127 eV per atom

Lattice parameters (Å, degrees): 6.752 6.752 10.632 90.00 90.00 120.00
Positions (direct):
Ca: 0.167 0.333 0.125
Mg: 0.818 0.159 0.881
Mg: 0.664 0.328 0.125
Mg: 0.665 0.329 0.625
Mg: 0.341 0.682 0.369
Mg: 0.172 0.836 0.125
Mg: 0.341 0.682 0.881
Mg: 0.818 0.159 0.369
Mg: 0.665 0.835 0.625
Mg: 0.833 0.667 0.875
Mg: 0.833 0.667 0.375
Mg: 0.171 0.835 0.625
Rb: 0.167 0.333 0.625
Mg: 0.341 0.159 0.881
Mg: 0.341 0.159 0.369
Mg: 0.664 0.836 0.125


(6)
Computed, not measured: a relaxed structure of RbCaMg6 at the PBE level of DFT.

Values from the calculation:
**Space group**: No. 38
**ρ**: 1.84 g/cm3
**Offset from the most stable computed form**: 0.014 eV per atom
**Size of the total moment**: 0.01 μB per formula unit
**Formation energy from the elements**: 0.225 eV per atom

Lattice parameters (Å, degrees): 6.952 6.952 5.509 90.00 90.00 113.44
Positions (direct):
Mg: 0.668 0.837 0.000
Ca: 0.659 0.341 0.000
Mg: 0.809 0.663 0.500
Mg: 0.337 0.191 0.500
Mg: 0.847 0.153 0.500
Mg: 0.356 0.644 0.500
Mg: 0.163 0.332 0.000
Rb: 0.162 0.838 0.000


(7)
Computed, not measured: a relaxed structure of RbCaMg14 at the PBE level of DFT.

Values from the calculation:
**Space group**: No. 38
**ρ**: 1.85 g/cm3
**Offset from the most stable computed form**: 0.007 eV per atom
**Size of the total moment**: 0.00 μB per formula unit
**Formation energy from the elements**: 0.135 eV per atom

Lattice parameters (Å, degrees): 6.672 6.674 10.836 90.00 90.00 120.01
Positions (direct):
Mg: 0.828 0.164 0.872
Mg: 0.669 0.835 0.625
Mg: 0.342 0.178 0.395
Mg: 0.342 0.178 0.855
Mg: 0.665 0.331 0.125
Mg: 0.342 0.665 0.855
Mg: 0.342 0.665 0.395
Mg: 0.818 0.659 0.388
Mg: 0.165 0.833 0.625
Mg: 0.669 0.334 0.625
Rb: 0.167 0.833 0.125
Mg: 0.828 0.164 0.378
Ca: 0.175 0.338 0.125
Mg: 0.818 0.659 0.862
Mg: 0.665 0.834 0.125
Mg: 0.163 0.332 0.625


(8)
Computed, not measured: a relaxed structure of Ca10Mg2Sb9 at the PBE level of DFT.

Values from the calculation:
**Space group**: No. 136
**ρ**: 4.14 g/cm3
**Size of the total moment**: 0.01 μB per formula unit
**Formation energy from the elements**: -1.016 eV per atom

Lattice parameters (Å, degrees): 11.939 11.939 17.378 90.00 90.00 90.00
Positions (direct):
Sb: 0.833 0.467 0.500
Ca: 0.251 0.011 0.192
Ca: 0.161 0.515 0.103
Sb: 0.167 0.533 0.500
Ca: 0.751 0.489 0.308
Sb: 0.219 0.219 0.322
Sb: 0.188 0.812 0.330
Ca: 0.751 0.489 0.692
Sb: 0.368 0.632 0.000
Ca: 0.661 0.985 0.397
Sb: 0.281 0.719 0.178
Sb: 0.812 0.188 0.330
Sb: 0.688 0.688 0.830
Sb: 0.719 0.281 0.822
Ca: 0.989 0.749 0.808
Sb: 0.033 0.333 0.000
Sb: 0.000 0.500 0.750
Sb: 0.333 0.033 0.000
Ca: 0.251 0.011 0.808
Sb: 0.533 0.167 0.500
Ca: 0.489 0.751 0.692
Ca: 0.485 0.839 0.103
Ca: 0.485 0.839 0.897
Ca: 0.000 0.000 0.361
Ca: 0.682 0.682 0.500
Mg: 0.789 0.211 0.500
Mg: 0.211 0.789 0.500
Ca: 0.749 0.989 0.192
Sb: 0.500 0.500 0.634
Sb: 0.000 0.000 0.134
Ca: 0.989 0.749 0.192
Ca: 0.500 0.500 0.861
Sb: 0.000 0.500 0.250
Ca: 0.515 0.161 0.103
Mg: 0.601 0.399 0.500
Sb: 0.188 0.812 0.670
Sb: 0.132 0.132 0.500
Mg: 0.899 0.899 0.000
Mg: 0.711 0.711 0.000
Sb: 0.781 0.781 0.322
Sb: 0.868 0.868 0.500
Sb: 0.812 0.188 0.670
Ca: 0.749 0.989 0.808
Ca: 0.011 0.251 0.192
Sb: 0.219 0.219 0.678
Mg: 0.101 0.101 0.000
Mg: 0.399 0.601 0.500
Ca: 0.985 0.661 0.603
Ca: 0.339 0.015 0.397
Sb: 0.000 0.000 0.866
Sb: 0.632 0.368 0.000
Ca: 0.161 0.515 0.897
Sb: 0.281 0.719 0.822
Ca: 0.318 0.318 0.500
Sb: 0.312 0.312 0.830
Ca: 0.015 0.339 0.603
Sb: 0.967 0.667 0.000
Ca: 0.661 0.985 0.603
Ca: 0.489 0.751 0.308
Ca: 0.515 0.161 0.897
Ca: 0.000 0.000 0.639
Sb: 0.500 0.500 0.366
Sb: 0.688 0.688 0.170
Ca: 0.511 0.249 0.308
Ca: 0.839 0.485 0.103
Sb: 0.500 0.000 0.250
Sb: 0.500 0.000 0.750
Ca: 0.500 0.500 0.139
Ca: 0.015 0.339 0.397
Ca: 0.839 0.485 0.897
Ca: 0.985 0.661 0.397
Ca: 0.511 0.249 0.692
Ca: 0.249 0.511 0.308
Ca: 0.011 0.251 0.808
Ca: 0.339 0.015 0.603
Ca: 0.182 0.818 0.000
Sb: 0.719 0.281 0.178
Sb: 0.467 0.833 0.500
Sb: 0.781 0.781 0.678
Sb: 0.667 0.967 0.000
Ca: 0.249 0.511 0.692
Ca: 0.818 0.182 0.000
Mg: 0.289 0.289 0.000
Sb: 0.312 0.312 0.170


(9)
Computed, not measured: a relaxed structure of Ca7Mg6Si14 at the PBE level of DFT.

Values from the calculation:
**Space group**: No. 191
**ρ**: 2.23 g/cm3
**Size of the total moment**: 0.00 μB per formula unit
**Formation energy from the elements**: -0.253 eV per atom

Lattice parameters (Å, degrees): 4.215 12.934 12.934 120.00 90.00 90.00
Positions (direct):
Mg: 0.500 0.414 0.827
Si: 0.500 0.000 0.819
Ca: 0.000 0.187 0.373
Si: 0.500 0.643 0.643
Si: 0.000 0.333 0.667
Si: 0.500 0.819 0.819
Si: 0.500 0.357 0.357
Mg: 0.500 0.414 0.586
Ca: 0.000 0.187 0.813
Ca: 0.000 0.813 0.627
Mg: 0.500 0.173 0.586
Si: 0.500 0.000 0.181
Ca: 0.000 0.627 0.813
Ca: 0.000 0.373 0.187
Si: 0.500 0.643 0.000
Si: 0.500 0.181 0.181
Si: 0.500 0.181 0.000
Si: 0.500 0.000 0.357
Mg: 0.500 0.827 0.414
Mg: 0.500 0.586 0.414
Ca: 0.000 0.000 0.000
Ca: 0.000 0.813 0.187
Mg: 0.500 0.586 0.173
Si: 0.500 0.819 0.000
Si: 0.500 0.000 0.643
Si: 0.000 0.667 0.333
Si: 0.500 0.357 0.000


(10)
Computed, not measured: a relaxed structure of Ca2Mg3Si at the PBE level of DFT.

Values from the calculation:
**Space group**: No. 194
**ρ**: 2.00 g/cm3
**Size of the total moment**: 0.00 μB per formula unit
**Formation energy from the elements**: -0.140 eV per atom

Lattice parameters (Å, degrees): 6.057 6.057 9.462 90.00 90.00 120.00
Positions (direct):
Mg: 0.835 0.670 0.750
Ca: 0.667 0.333 0.441
Si: 0.000 0.000 0.000
Mg: 0.835 0.165 0.750
Si: 0.000 0.000 0.500
Mg: 0.165 0.835 0.250
Mg: 0.670 0.835 0.250
Ca: 0.333 0.667 0.559
Mg: 0.330 0.165 0.750
Ca: 0.333 0.667 0.941
Ca: 0.667 0.333 0.059
Mg: 0.165 0.330 0.250


(11)
Computed, not measured: a relaxed structure of CaMgSi at the PBE level of DFT.

Values from the calculation:
**Space group**: No. 62
**ρ**: 2.23 g/cm3
**Formation energy from the elements**: -0.413 eV per atom

Lattice parameters (Å, degrees): 4.428 7.478 8.322 90.00 90.00 90.00
Positions (direct):
Si: 0.250 0.770 0.616
Ca: 0.750 0.480 0.680
Si: 0.750 0.230 0.384
Ca: 0.750 0.980 0.820
Si: 0.250 0.270 0.884
Ca: 0.250 0.020 0.180
Si: 0.750 0.730 0.116
Mg: 0.250 0.644 0.937
Mg: 0.250 0.144 0.563
Mg: 0.750 0.356 0.063
Ca: 0.250 0.520 0.320
Mg: 0.750 0.856 0.437


(12)
Computed, not measured: a relaxed structure of CaSmMg2 at the PBE level of DFT.

Values from the calculation:
**Space group**: No. 225
**ρ**: 3.34 g/cm3
**Formation energy from the elements**: -0.089 eV per atom

Lattice parameters (Å, degrees): 5.517 5.517 5.517 60.00 60.00 60.00
Positions (direct):
Mg: 0.750 0.750 0.750
Ca: 0.500 0.500 0.500
Mg: 0.250 0.250 0.250
Sm: 0.000 0.000 0.000


- What is the formation energy from the elements in the second record?
  -0.095 eV per atom